Record 1
# Li24Ti11CrO36

A relaxed structure of Li24Ti11CrO36 (GGA+U, the Materials Project).

Structure (POSCAR):
```
Li24Ti11CrO36
1.0
5.105 0.000 0.000
-0.882 10.650 0.000
-1.645 -5.145 12.045
Li Ti Cr O
24 11 1 36
direct
0.000 0.000 0.000
0.000 0.000 0.500
0.000 0.500 0.250
0.111 0.226 0.226
0.117 0.225 0.726
0.218 0.442 0.941
0.224 0.441 0.442
0.333 0.167 0.917
0.333 0.168 0.418
0.333 0.667 0.167
0.334 0.666 0.667
0.444 0.893 0.892
0.448 0.892 0.393
0.550 0.110 0.608
0.555 0.108 0.108
0.666 0.333 0.832
0.666 0.833 0.083
0.667 0.333 0.333
0.667 0.834 0.583
0.774 0.560 0.559
0.780 0.559 0.059
0.886 0.775 0.274
0.890 0.774 0.774
0.998 0.500 0.750
0.110 0.722 0.472
0.114 0.721 0.972
0.223 0.945 0.195
0.223 0.945 0.695
0.444 0.388 0.138
0.556 0.612 0.362
0.560 0.613 0.859
0.777 0.055 0.805
0.778 0.056 0.305
0.888 0.276 0.530
0.889 0.278 0.028
0.440 0.390 0.639
0.024 0.757 0.122
0.024 0.757 0.622
0.095 0.972 0.836
0.095 0.973 0.336
0.119 0.457 0.094
0.129 0.457 0.595
0.210 0.209 0.573
0.214 0.210 0.073
0.238 0.694 0.331
0.238 0.694 0.831
0.309 0.910 0.045
0.309 0.910 0.545
0.357 0.421 0.785
0.357 0.423 0.289
0.427 0.638 0.001
0.429 0.639 0.502
0.452 0.123 0.260
0.452 0.123 0.760
0.548 0.877 0.240
0.548 0.877 0.740
0.570 0.362 0.500
0.571 0.361 0.998
0.643 0.577 0.212
0.647 0.578 0.712
0.690 0.090 0.955
0.691 0.090 0.456
0.758 0.308 0.669
0.762 0.306 0.169
0.785 0.790 0.926
0.786 0.790 0.427
0.881 0.543 0.407
0.881 0.543 0.906
0.904 0.028 0.165
0.905 0.028 0.665
0.974 0.244 0.379
0.976 0.244 0.878
```

Output
E = -503.8 eV for the cell shown
ΔH_f (0 K) = -2918 meV per atom
Crystal system = triclinic

Record 2
# Li24Ti11CrO36

A relaxed structure of Li24Ti11CrO36 (GGA+U, the Materials Project).

Structure (POSCAR):
```
Li24Ti11CrO36
1.0
7.665 -4.407 0.000
7.665 4.407 0.000
-3.471 0.000 9.679
Li Ti Cr O
24 11 1 36
direct
0.000 0.000 0.000
0.000 0.000 0.500
0.162 0.837 0.250
0.163 0.838 0.750
0.166 0.168 0.251
0.167 0.167 0.750
0.172 0.495 0.751
0.173 0.495 0.250
0.333 0.333 0.500
0.333 0.334 0.000
0.495 0.171 0.250
0.495 0.171 0.749
0.499 0.501 0.249
0.499 0.501 0.751
0.505 0.827 0.750
0.505 0.828 0.249
0.666 0.667 0.000
0.667 0.667 0.500
0.829 0.505 0.251
0.829 0.505 0.750
0.832 0.834 0.749
0.833 0.833 0.250
0.838 0.161 0.751
0.839 0.162 0.249
0.001 0.666 0.500
0.003 0.664 0.002
0.333 0.667 0.500
0.334 0.999 0.500
0.336 0.997 0.998
0.665 0.335 0.000
0.666 0.001 0.500
0.667 0.001 0.000
0.668 0.332 0.500
0.999 0.333 0.000
0.999 0.334 0.500
0.330 0.670 0.000
0.071 0.426 0.387
0.071 0.426 0.887
0.093 0.093 0.384
0.093 0.093 0.884
0.093 0.737 0.387
0.099 0.736 0.888
0.240 0.239 0.116
0.240 0.240 0.616
0.240 0.595 0.113
0.240 0.596 0.613
0.263 0.907 0.613
0.264 0.901 0.112
0.404 0.760 0.387
0.405 0.760 0.887
0.424 0.430 0.886
0.426 0.070 0.886
0.427 0.070 0.386
0.427 0.426 0.384
0.570 0.576 0.114
0.574 0.573 0.616
0.574 0.929 0.113
0.574 0.929 0.613
0.596 0.240 0.113
0.596 0.240 0.613
0.736 0.095 0.886
0.737 0.093 0.387
0.760 0.404 0.387
0.760 0.404 0.887
0.760 0.760 0.384
0.761 0.760 0.884
0.905 0.264 0.114
0.907 0.263 0.613
0.907 0.907 0.116
0.907 0.907 0.616
0.930 0.573 0.614
0.930 0.574 0.114
```

Output
E = -503.8 eV for the cell shown
ΔH_f (0 K) = -2918 meV per atom
Crystal system = monoclinic

Record 3
# Li2Ti3CrO8

A relaxed structure of Li2Ti3CrO8 (GGA+U, the Materials Project).

Structure (POSCAR):
```
Li2Ti3CrO8
1.0
8.442 0.000 0.000
0.000 8.442 0.000
0.000 0.000 8.442
Li Ti Cr O
8 12 4 32
direct
0.003 0.003 0.003
0.247 0.247 0.247
0.253 0.753 0.747
0.497 0.997 0.503
0.503 0.497 0.997
0.747 0.253 0.753
0.753 0.747 0.253
0.997 0.503 0.497
0.125 0.125 0.625
0.125 0.375 0.875
0.125 0.625 0.125
0.375 0.375 0.625
0.375 0.625 0.375
0.375 0.875 0.125
0.625 0.125 0.125
0.625 0.375 0.375
0.625 0.875 0.875
0.875 0.125 0.375
0.875 0.625 0.875
0.875 0.875 0.625
0.125 0.875 0.375
0.375 0.125 0.875
0.625 0.625 0.625
0.875 0.375 0.125
0.111 0.114 0.388
0.112 0.889 0.614
0.113 0.613 0.887
0.114 0.388 0.111
0.136 0.139 0.862
0.137 0.363 0.637
0.138 0.636 0.361
0.139 0.862 0.136
0.361 0.138 0.636
0.362 0.364 0.861
0.363 0.637 0.137
0.364 0.861 0.362
0.386 0.612 0.611
0.387 0.387 0.387
0.388 0.111 0.114
0.389 0.886 0.888
0.611 0.386 0.612
0.612 0.611 0.386
0.613 0.887 0.113
0.614 0.112 0.889
0.636 0.361 0.138
0.637 0.137 0.363
0.638 0.864 0.639
0.639 0.638 0.864
0.861 0.362 0.364
0.862 0.136 0.139
0.863 0.863 0.863
0.864 0.639 0.638
0.886 0.888 0.389
0.887 0.113 0.613
0.888 0.389 0.886
0.889 0.614 0.112
```

Output
E = -448.4 eV for the cell shown
ΔH_f (0 K) = -3062 meV per atom
Crystal system = cubic